(a)
Hg2TeSe: relaxed, PBE-GGA.

Properties
SG: R-3m

a b c (Å): 7.3243 7.3243 7.3243
angles (deg): 33.53 33.53 33.53
Fractional positions:
Hg: 0.2453 0.2453 0.2453
Hg: 0.7547 0.7547 0.7547
Te: 0.0000 0.0000 0.0000
Se: 0.5000 0.5000 0.5000

=====

(b)
Hg2TeSe: relaxed, PBE-GGA.

Properties
SG: R3m

a b c (Å): 7.9122 7.9122 7.9122
angles (deg): 33.64 33.64 33.64
Fractional positions:
Te: 0.6245 0.6245 0.6245
Hg: 0.4959 0.4959 0.4959
Hg: 0.0044 0.0044 0.0044
Se: 0.1252 0.1252 0.1252

=====

The structure with the least stability is (a).

=====

(a)
Sm3Hg: relaxed, PBE-GGA.

Properties
SG: I4/mmm

a b c (Å): 6.0859 6.0859 6.0859
angles (deg): 133.49 133.49 67.89
Fractional positions:
Sm: 0.5000 0.5000 0.0000
Sm: 0.7500 0.2500 0.5000
Sm: 0.2500 0.7500 0.5000
Hg: 0.0000 0.0000 0.0000

=====

(b)
Sm3Hg: relaxed, PBE-GGA.

Properties
SG: P6_3/mmc

a b c (Å): 7.0376 7.0376 5.5020
angles (deg): 90.00 90.00 120.00
Fractional positions:
Sm: 0.6515 0.8257 0.2500
Sm: 0.3485 0.1743 0.7500
Sm: 0.1743 0.8257 0.2500
Sm: 0.8257 0.1743 0.7500
Sm: 0.1743 0.3485 0.2500
Sm: 0.8257 0.6515 0.7500
Hg: 0.6667 0.3333 0.2500
Hg: 0.3333 0.6667 0.7500

=====

The structure with the least stability is (a).

=====

(a)
Ti3Hg: relaxed, PBE-GGA.

Properties
SG: Pm-3n

a b c (Å): 5.1981 5.1981 5.1981
angles (deg): 90.00 90.00 90.00
Fractional positions:
Ti: 0.5000 0.2500 0.0000
Ti: 0.5000 0.7500 0.0000
Ti: 0.2500 0.0000 0.5000
Ti: 0.0000 0.5000 0.2500
Ti: 0.0000 0.5000 0.7500
Ti: 0.7500 0.0000 0.5000
Hg: 0.0000 0.0000 0.0000
Hg: 0.5000 0.5000 0.5000

=====

(b)
Ti3Hg: relaxed, PBE-GGA.

Properties
SG: Pm-3m

a b c (Å): 4.1399 4.1399 4.1399
angles (deg): 90.00 90.00 90.00
Fractional positions:
Ti: 0.0000 0.5000 0.5000
Ti: 0.5000 0.5000 0.0000
Ti: 0.5000 0.0000 0.5000
Hg: 0.0000 0.0000 0.0000

=====

The structure with the least stability is (b).

=====

(a)
HoI3O9: relaxed, PBE-GGA.

Properties
SG: Pmmn

a b c (Å): 6.4779 6.5286 8.5884
angles (deg): 90.00 90.00 90.00
Fractional positions:
O: 0.5000 0.7043 0.0000
O: 0.6906 0.5462 0.3617
O: 0.8094 0.4538 0.8617
O: 0.0000 0.8608 0.2609
O: 0.3094 0.5462 0.6383
O: 0.5000 0.1392 0.2391
O: 0.1906 0.4538 0.1383
O: 0.1906 0.4538 0.8617
O: 0.0000 0.2957 0.5000
O: 0.0000 0.8608 0.7391
O: 0.8094 0.4538 0.1383
O: 0.3094 0.5462 0.3617
O: 0.5000 0.1392 0.7609
O: 0.6906 0.5462 0.6383
O: 0.3107 0.9162 0.5000
O: 0.1893 0.0838 0.0000
O: 0.6893 0.9162 0.5000
O: 0.8107 0.0838 0.0000
I: 0.0000 0.1390 0.8030
I: 0.5000 0.8610 0.3030
I: 0.0000 0.1390 0.1970
I: 0.0000 0.5914 0.0000
I: 0.5000 0.4086 0.5000
I: 0.5000 0.8610 0.6970
Ho: 0.5000 0.3683 0.0000
Ho: 0.0000 0.6317 0.5000

=====

(b)
HoI3O9: relaxed, PBE-GGA.

Properties
SG: P2_1/c

a b c (Å): 6.0226 8.7733 16.5651
angles (deg): 65.20 90.00 90.00
Fractional positions:
O: 0.8996 0.0940 0.8289
O: 0.4285 0.3523 0.5592
O: 0.6181 0.8872 0.9690
O: 0.0057 0.3608 0.3650
O: 0.1823 0.3433 0.7436
O: 0.0306 0.3924 0.8813
O: 0.0559 0.0608 0.3075
O: 0.5715 0.6477 0.4408
O: 0.0715 0.3523 0.0592
O: 0.9441 0.9392 0.6925
O: 0.3996 0.9060 0.6711
O: 0.9285 0.6477 0.9408
O: 0.3819 0.1128 0.0310
O: 0.5559 0.9392 0.1925
O: 0.4943 0.3608 0.8650
O: 0.9144 0.3435 0.6105
O: 0.6004 0.0940 0.3289
O: 0.8774 0.1257 0.0119
O: 0.3774 0.8743 0.4881
O: 0.4441 0.0608 0.8075
O: 0.6823 0.6567 0.7564
O: 0.5306 0.6076 0.6187
O: 0.5057 0.6392 0.1350
O: 0.6226 0.1257 0.5119
O: 0.4694 0.3924 0.3813
O: 0.8177 0.6567 0.2564
O: 0.3177 0.3433 0.2436
O: 0.8819 0.8872 0.4690
O: 0.4144 0.6565 0.8895
O: 0.9694 0.6076 0.1187
O: 0.0856 0.6565 0.3895
O: 0.9943 0.6392 0.6350
O: 0.5856 0.3435 0.1105
O: 0.1226 0.8743 0.9881
O: 0.1181 0.1128 0.5310
O: 0.1004 0.9060 0.1711
I: 0.1891 0.0749 0.6453
I: 0.9041 0.4190 0.6988
I: 0.6482 0.3553 0.4788
I: 0.6891 0.9251 0.8547
I: 0.1482 0.6447 0.0212
I: 0.3109 0.0749 0.1453
I: 0.5959 0.4190 0.1988
I: 0.8109 0.9251 0.3547
I: 0.3518 0.6447 0.5212
I: 0.4041 0.5810 0.8012
I: 0.0959 0.5810 0.3012
I: 0.8518 0.3553 0.9788
Ho: 0.7196 0.8549 0.6034
Ho: 0.2196 0.1451 0.8966
Ho: 0.2804 0.1451 0.3966
Ho: 0.7804 0.8549 0.1034

=====

The structure with the least stability is (a).

=====

(a)
Ho3In: relaxed, PBE-GGA.

Properties
SG: Pm-3m

a b c (Å): 4.8245 4.8245 4.8245
angles (deg): 90.00 90.00 90.00
Fractional positions:
Ho: 0.5000 0.0000 0.5000
Ho: 0.5000 0.5000 0.0000
Ho: 0.0000 0.5000 0.5000
In: 0.0000 0.0000 0.0000

=====

(b)
Ho3In: relaxed, PBE-GGA.

Properties
SG: P6_3/mmc

a b c (Å): 6.8851 6.8851 5.5021
angles (deg): 90.00 90.00 120.00
Fractional positions:
In: 0.3333 0.6667 0.7500
In: 0.6667 0.3333 0.2500
Ho: 0.8287 0.6574 0.7500
Ho: 0.6574 0.8287 0.2500
Ho: 0.8287 0.1713 0.7500
Ho: 0.1713 0.8287 0.2500
Ho: 0.3426 0.1713 0.7500
Ho: 0.1713 0.3426 0.2500

=====

The structure with the least stability is (b).

=====

(a)
LiHo3: relaxed, PBE-GGA.

Properties
SG: I4/mmm

a b c (Å): 6.0965 6.0965 6.0965
angles (deg): 133.90 133.90 67.25
Fractional positions:
Ho: 0.2500 0.7500 0.5000
Ho: 0.5000 0.5000 0.0000
Ho: 0.7500 0.2500 0.5000
Li: 0.0000 0.0000 0.0000

=====

(b)
LiHo3: relaxed, PBE-GGA.

Properties
SG: P6_3/mmc

a b c (Å): 6.9749 6.9749 5.5062
angles (deg): 90.00 90.00 120.00
Fractional positions:
Ho: 0.6629 0.8314 0.2500
Ho: 0.8314 0.6629 0.7500
Ho: 0.1686 0.8314 0.2500
Ho: 0.1686 0.3371 0.2500
Ho: 0.8314 0.1686 0.7500
Ho: 0.3371 0.1686 0.7500
Li: 0.3333 0.6667 0.7500
Li: 0.6667 0.3333 0.2500

=====

The structure with the least stability is (a).

=====

(a)
LiHo2O3: relaxed, PBE-GGA.

Properties
SG: P-3m1

a b c (Å): 3.3458 3.3458 7.8689
angles (deg): 90.00 90.00 120.00
Fractional positions:
Li: 0.0000 0.0000 0.5000
Ho: 0.3333 0.6667 0.1802
Ho: 0.6667 0.3333 0.8198
O: 0.6667 0.3333 0.3329
O: 0.3333 0.6667 0.6671
O: 0.0000 0.0000 0.0000

=====

(b)
LiHo2O3: relaxed, PBE-GGA.

Properties
SG: Cm

a b c (Å): 4.0275 4.0275 6.6607
angles (deg): 74.10 105.90 126.93
Fractional positions:
Li: 0.4380 0.5620 0.9951
Ho: 0.2279 0.7721 0.2914
Ho: 0.6576 0.3424 0.7185
O: 0.3343 0.6657 0.6541
O: 0.1260 0.8740 0.9377
O: 0.5555 0.4445 0.3511

=====

The structure with the least stability is (b).

=====

(a)
LiHo2Ta2O8: relaxed, PBE-GGA.

Properties
SG: C2

a b c (Å): 5.1696 5.4509 6.5810
angles (deg): 110.56 109.06 99.22
Fractional positions:
O: 0.7929 0.6545 0.5887
O: 0.9658 0.2013 0.9318
O: 0.2293 0.3593 0.4251
O: 0.0262 0.7943 0.0633
O: 0.5367 0.2688 0.0633
O: 0.2955 0.9338 0.5888
O: 0.4655 0.7300 0.9318
O: 0.6954 0.0653 0.4251
Ho: 0.3746 0.6246 0.2496
Ho: 0.6139 0.3638 0.7280
Ta: 0.8558 0.1059 0.2121
Ta: 0.1654 0.9154 0.8311
Li: 0.6206 0.8705 0.7415

=====

(b)
LiHo2Ta2O8: relaxed, PBE-GGA.

Properties
SG: C2

a b c (Å): 5.2534 5.3739 6.4743
angles (deg): 110.15 109.48 100.01
Fractional positions:
Ta: 0.8399 0.0899 0.1799
Ta: 0.1645 0.9145 0.8290
O: 0.9895 0.2113 0.9373
O: 0.5584 0.2897 0.0618
O: 0.2813 0.9246 0.5773
O: 0.7961 0.6528 0.5773
O: 0.2138 0.3505 0.4158
O: 0.0035 0.7721 0.0618
O: 0.7021 0.0653 0.4158
O: 0.4478 0.7260 0.9373
Li: 0.9161 0.6661 0.3322
Ho: 0.3785 0.6285 0.2571
Ho: 0.6086 0.3586 0.7171

=====

The structure with the least stability is (a).

=====

(a)
LiHoSn2: relaxed, PBE-GGA.

Properties
SG: Cmcm

a b c (Å): 4.3440 4.4907 9.8706
angles (deg): 90.00 102.71 90.00
Fractional positions:
Li: 0.3274 0.7500 0.6548
Li: 0.6726 0.2500 0.3452
Sn: 0.4552 0.7500 0.9104
Sn: 0.5448 0.2500 0.0896
Sn: 0.2520 0.2500 0.5039
Sn: 0.7480 0.7500 0.4961
Ho: 0.1060 0.7500 0.2120
Ho: 0.8940 0.2500 0.7880

=====

(b)
LiHoSn2: relaxed, PBE-GGA.

Properties
SG: Fm-3m

a b c (Å): 5.1818 5.1818 5.1818
angles (deg): 60.00 60.00 60.00
Fractional positions:
Sn: 0.2500 0.2500 0.2500
Sn: 0.7500 0.7500 0.7500
Ho: 0.5000 0.5000 0.5000
Li: 0.0000 0.0000 0.0000

=====

The structure with the least stability is (b).

=====

(a)
Ho4MgTi2O10: relaxed, PBE-GGA.

Properties
SG: C2/m

a b c (Å): 3.8988 5.9350 11.6349
angles (deg): 78.68 90.00 70.82
Fractional positions:
Ti: 0.1336 0.7327 0.2670
Ti: 0.8664 0.2673 0.7330
O: 0.7299 0.5402 0.5786
O: 0.6644 0.6712 0.9657
O: 0.7024 0.5953 0.2529
O: 0.0261 0.9477 0.1218
O: 0.9739 0.0523 0.8782
O: 0.2701 0.4598 0.4214
O: 0.0228 0.9543 0.3758
O: 0.9772 0.0457 0.6242
O: 0.3356 0.3288 0.0343
O: 0.2976 0.4047 0.7471
Mg: 0.5000 0.0000 0.0000
Ho: 0.1786 0.6427 0.8813
Ho: 0.1496 0.7009 0.5592
Ho: 0.8504 0.2991 0.4408
Ho: 0.8214 0.3573 0.1187

=====

(b)
Ho4MgTi2O10: relaxed, PBE-GGA.

Properties
SG: P-1

a b c (Å): 6.2855 6.7423 7.7696
angles (deg): 66.65 118.35 131.80
Fractional positions:
O: 0.0531 0.6933 0.5783
O: 0.7796 0.5891 0.9743
O: 0.9469 0.3067 0.4217
O: 0.4155 0.2745 0.4498
O: 0.5845 0.7255 0.5502
O: 0.7067 0.0471 0.7835
O: 0.2933 0.9529 0.2165
O: 0.7756 0.8772 0.2275
O: 0.2244 0.1228 0.7725
O: 0.2204 0.4109 0.0257
Ho: 0.2894 0.6047 0.2423
Ho: 0.2887 0.5006 0.7401
Ho: 0.7113 0.4994 0.2599
Ho: 0.7106 0.3953 0.7577
Ti: 0.0000 0.0000 0.5000
Ti: 0.0000 0.0000 0.0000
Mg: 0.5000 0.0000 0.5000

=====

The structure with the least stability is (b).